Compound: HfSc
Source: the Materials Project
Functional: r²SCAN
Structure: relaxed

Properties
Symmetry: P-6m2, No. 187
Formation energy from the elements (eV/atom): 0.043
Final energy (eV per atom): -28.232

Unit cell a=3.2401 b=3.2401 c=5.1041 alpha=90.00 beta=90.00 gamma=120.00
Element x y z (fractional)
Hf (0.6667, 0.3333, 0.5000)
Sc (0.3333, 0.6667, 0.0000)